Entry 1:
LiCrP4O12 | PBE+U | optimized geometry

Energy relative to the elements (eV per formula unit): -47.20
Total energy (eV per cell): -518.2

Cell and atoms, written as CIF:
```
data_LiCrP4O12
_chemical_formula_sum 'Li4 Cr4 P16 O48'
_space_group_name_H-M_alt 'C 1 c 1'
_space_group_IT_number 9
_cell_length_a 9.444
_cell_length_b 14.048
_cell_length_c 7.695
_cell_angle_alpha 90.00
_cell_angle_beta 104.15
_cell_angle_gamma 90.00
loop_
_space_group_symop_operation_xyz
'x,y,z'
'x,-y,z+1/2'
'x+1/2,y+1/2,z'
'x+1/2,-y+1/2,z+1/2'
loop_
_atom_site_label
_atom_site_type_symbol
_atom_site_fract_x
_atom_site_fract_y
_atom_site_fract_z
Li1 Li 0.000 0.153 0.000
Cr1 Cr 0.165 0.372 0.466
P1 P 0.045 0.421 0.044
P2 P 0.075 0.175 0.620
P3 P 0.257 0.168 0.378
P4 P 0.302 0.423 0.886
O1 O 0.041 0.272 0.530
O2 O 0.041 0.369 0.214
O3 O 0.050 0.472 0.547
O4 O 0.099 0.165 0.816
O5 O 0.149 0.142 0.213
O6 O 0.175 0.378 0.966
O7 O 0.211 0.130 0.555
O8 O 0.292 0.469 0.385
O9 O 0.301 0.374 0.711
O10 O 0.302 0.273 0.411
O11 O 0.406 0.110 0.391
O12 O 0.445 0.398 0.030
```

---

Entry 2:
LiCrPO5 | PBE+U | optimized geometry

Energy relative to the elements (eV per formula unit): -19.32
Total energy (eV per cell): -222.4

Cell and atoms, written as CIF:
```
data_LiCrPO5
_chemical_formula_sum 'Li4 Cr4 P4 O20'
_space_group_name_H-M_alt 'P 1 21/c 1'
_space_group_IT_number 14
_cell_length_a 5.568
_cell_length_b 11.853
_cell_length_c 5.772
_cell_angle_alpha 90.00
_cell_angle_beta 96.38
_cell_angle_gamma 90.00
loop_
_space_group_symop_operation_xyz
'x,y,z'
'-x,-y,-z'
'-x,y+1/2,-z+1/2'
'x,-y+1/2,z+1/2'
loop_
_atom_site_label
_atom_site_type_symbol
_atom_site_fract_x
_atom_site_fract_y
_atom_site_fract_z
Li1 Li 0.178 0.242 0.153
Cr1 Cr 0.182 0.581 0.571
P1 P 0.358 0.655 0.091
O1 O 0.125 0.083 0.026
O2 O 0.163 0.749 0.099
O3 O 0.265 0.569 0.893
O4 O 0.364 0.583 0.320
O5 O 0.392 0.199 0.437
```

---

Entry 3:
LiCrPO4 | PBE+U | optimized geometry

Energy relative to the elements (eV per formula unit): -17.84
Total energy (eV per cell): -199.4

Cell and atoms, written as CIF:
```
data_LiCrPO4
_chemical_formula_sum 'Li4 Cr4 P4 O16'
_space_group_name_H-M_alt 'P 1 21/c 1'
_space_group_IT_number 14
_cell_length_a 5.204
_cell_length_b 9.711
_cell_length_c 8.643
_cell_angle_alpha 90.00
_cell_angle_beta 125.20
_cell_angle_gamma 90.00
loop_
_space_group_symop_operation_xyz
'x,y,z'
'-x,-y,-z'
'-x,y+1/2,-z+1/2'
'x,-y+1/2,z+1/2'
loop_
_atom_site_label
_atom_site_type_symbol
_atom_site_fract_x
_atom_site_fract_y
_atom_site_fract_z
Li1 Li 0.228 0.180 0.026
Cr1 Cr 0.236 0.613 0.978
P1 P 0.077 0.594 0.267
O1 O 0.066 0.060 0.808
O2 O 0.084 0.687 0.414
O3 O 0.235 0.113 0.441
O4 O 0.357 0.630 0.256
```

---

Entry 4:
Li3Cr3P4O16 | PBE+U | optimized geometry

Energy relative to the elements (eV per formula unit): -68.21
Total energy (eV per cell): -373.5

Cell and atoms, written as CIF:
```
data_Li3Cr3P4O16
_chemical_formula_sum 'Li6 Cr6 P8 O32'
_space_group_name_H-M_alt 'P 1 21 1'
_space_group_IT_number 4
_cell_length_a 7.571
_cell_length_b 7.958
_cell_length_c 10.125
_cell_angle_alpha 90.00
_cell_angle_beta 93.73
_cell_angle_gamma 90.00
loop_
_space_group_symop_operation_xyz
'x,y,z'
'-x,y+1/2,-z'
loop_
_atom_site_label
_atom_site_type_symbol
_atom_site_fract_x
_atom_site_fract_y
_atom_site_fract_z
Li1 Li 0.145 0.000 0.076
Li2 Li 0.151 0.004 0.576
Li3 Li 0.340 0.273 0.672
Cr1 Cr 0.233 0.634 0.624
Cr2 Cr 0.243 0.650 0.126
Cr3 Cr 0.357 0.283 0.179
P1 P 0.048 0.840 0.856
P2 P 0.053 0.828 0.357
P3 P 0.444 0.443 0.890
P4 P 0.449 0.452 0.400
O1 O 0.004 0.511 0.604
O2 O 0.011 0.519 0.105
O3 O 0.099 0.207 0.656
O4 O 0.115 0.221 0.144
O5 O 0.130 0.829 0.721
O6 O 0.148 0.838 0.224
O7 O 0.189 0.783 0.965
O8 O 0.197 0.777 0.468
O9 O 0.300 0.495 0.785
O10 O 0.308 0.491 0.278
O11 O 0.349 0.442 0.526
O12 O 0.358 0.441 0.029
O13 O 0.399 0.071 0.592
O14 O 0.404 0.072 0.096
O15 O 0.486 0.767 0.144
O16 O 0.493 0.770 0.654
```